1.
Density functional theory data (GGA-PBE) for crystalline Na14Mg4Zn4Si3S9O48 at its relaxed geometry.

Cell and atoms, written as POSCAR:
```
Na14Mg4Zn4Si3S9O48
1.0
18.146 0.017 0.083
-4.529 7.851 -0.023
0.106 -0.007 22.000
Na Mg Zn Si S O
42 12 12 9 27 144
Direct
0.808 0.997 0.257
0.183 0.369 0.257
0.681 0.346 0.252
0.999 0.629 0.240
0.507 0.654 0.246
0.310 0.623 0.757
0.005 0.360 0.745
0.507 0.365 0.738
0.182 0.016 0.751
0.678 0.006 0.760
0.147 0.331 0.586
0.643 0.335 0.592
0.342 0.991 0.584
0.831 0.957 0.579
0.145 0.953 0.082
0.648 0.963 0.080
0.332 0.708 0.073
0.841 0.690 0.078
0.485 0.684 0.915
0.982 0.661 0.925
0.349 0.013 0.918
0.838 0.026 0.911
0.173 0.323 0.904
0.665 0.280 0.907
0.484 0.304 0.430
0.984 0.284 0.422
0.168 0.048 0.420
0.673 0.025 0.409
0.341 0.651 0.418
0.845 0.681 0.424
0.998 0.002 0.498
0.502 0.996 0.510
0.999 0.000 0.005
0.501 0.999 0.993
0.329 0.351 0.831
0.820 0.326 0.831
0.328 0.326 0.336
0.824 0.302 0.334
0.159 0.661 0.160
0.661 0.668 0.165
0.162 0.656 0.668
0.657 0.640 0.667
0.999 0.008 0.355
0.504 0.003 0.344
0.004 0.006 0.843
0.506 0.998 0.853
0.338 0.340 0.681
0.835 0.335 0.180
0.334 0.340 0.983
0.834 0.333 0.986
0.334 0.337 0.487
0.834 0.329 0.485
0.668 0.686 0.317
0.169 0.652 0.817
0.005 0.000 0.659
0.506 0.036 0.654
0.999 0.989 0.148
0.506 0.009 0.157
0.824 0.342 0.686
0.336 0.331 0.180
0.162 0.657 0.015
0.663 0.666 0.006
0.162 0.653 0.512
0.663 0.668 0.518
0.171 0.660 0.326
0.671 0.670 0.817
0.652 0.001 0.247
0.152 0.302 0.747
0.652 0.309 0.753
0.484 0.338 0.581
0.984 0.629 0.083
0.315 0.666 0.919
0.669 0.966 0.918
0.814 0.964 0.419
0.169 0.366 0.417
0.149 0.998 0.251
0.350 0.704 0.248
0.852 0.704 0.252
0.001 0.291 0.249
0.498 0.297 0.252
0.001 0.702 0.753
0.497 0.708 0.748
0.349 0.998 0.751
0.853 0.999 0.748
0.980 0.336 0.585
0.183 0.028 0.582
0.687 0.040 0.583
0.333 0.633 0.583
0.839 0.633 0.582
0.481 0.627 0.085
0.337 0.044 0.084
0.834 0.035 0.084
0.188 0.331 0.086
0.683 0.338 0.083
0.819 0.670 0.918
0.016 0.364 0.915
0.516 0.368 0.918
0.164 0.962 0.916
0.317 0.965 0.415
0.664 0.367 0.415
0.019 0.667 0.415
0.516 0.669 0.414
0.106 0.020 0.305
0.608 0.034 0.307
0.401 0.789 0.303
0.906 0.790 0.305
0.484 0.193 0.307
0.993 0.195 0.305
0.108 0.182 0.807
0.605 0.184 0.811
0.485 0.782 0.805
0.987 0.780 0.808
0.402 0.017 0.805
0.903 0.011 0.803
0.385 0.964 0.695
0.893 0.979 0.692
0.092 0.217 0.686
0.598 0.233 0.690
0.012 0.806 0.698
0.504 0.812 0.695
0.392 0.800 0.192
0.888 0.809 0.196
0.013 0.205 0.195
0.508 0.214 0.197
0.099 0.976 0.195
0.591 0.964 0.187
0.437 0.349 0.643
0.937 0.345 0.641
0.234 0.111 0.637
0.740 0.123 0.638
0.320 0.522 0.636
0.832 0.528 0.635
0.440 0.536 0.143
0.940 0.527 0.146
0.326 0.129 0.139
0.823 0.119 0.138
0.238 0.351 0.143
0.734 0.359 0.139
0.231 0.308 0.032
0.726 0.314 0.029
0.429 0.532 0.032
0.924 0.544 0.024
0.344 0.140 0.028
0.840 0.131 0.028
0.225 0.136 0.527
0.728 0.147 0.528
0.339 0.550 0.526
0.846 0.552 0.524
0.425 0.306 0.521
0.932 0.329 0.530
0.270 0.698 0.980
0.782 0.696 0.975
0.071 0.439 0.969
0.572 0.444 0.972
0.151 0.860 0.972
0.653 0.853 0.981
0.279 0.864 0.472
0.769 0.841 0.478
0.149 0.451 0.476
0.652 0.446 0.469
0.075 0.702 0.467
0.571 0.702 0.467
0.055 0.635 0.358
0.555 0.642 0.358
0.261 0.884 0.362
0.756 0.884 0.359
0.190 0.484 0.356
0.674 0.469 0.359
0.056 0.470 0.860
0.552 0.475 0.863
0.174 0.877 0.862
0.687 0.874 0.859
0.254 0.628 0.860
0.764 0.644 0.866
0.009 0.819 0.408
0.503 0.820 0.408
0.402 0.979 0.407
0.909 0.980 0.414
0.086 0.176 0.411
0.587 0.192 0.411
0.004 0.188 0.908
0.504 0.194 0.911
0.088 0.985 0.912
0.584 0.984 0.914
0.409 0.838 0.913
0.905 0.827 0.911
0.491 0.159 0.583
0.986 0.177 0.583
0.097 0.009 0.585
0.601 0.021 0.587
0.409 0.803 0.588
0.915 0.808 0.586
0.485 0.797 0.084
0.994 0.826 0.086
0.414 0.023 0.088
0.911 0.018 0.087
0.102 0.177 0.090
0.597 0.184 0.087
0.344 0.157 0.746
0.852 0.164 0.746
0.247 0.322 0.742
0.744 0.312 0.749
0.421 0.532 0.745
0.930 0.525 0.747
0.343 0.530 0.246
0.845 0.533 0.247
0.425 0.329 0.248
0.922 0.305 0.245
0.235 0.157 0.248
0.747 0.172 0.242
0.327 0.496 0.924
0.829 0.517 0.921
0.429 0.347 0.927
0.931 0.348 0.922
0.243 0.133 0.921
0.755 0.158 0.922
0.327 0.138 0.419
0.828 0.159 0.424
0.255 0.348 0.423
0.743 0.352 0.419
0.430 0.514 0.420
0.933 0.515 0.423
0.182 0.488 0.082
0.679 0.497 0.077
0.082 0.661 0.077
0.567 0.650 0.083
0.259 0.872 0.083
0.758 0.859 0.083
0.179 0.859 0.576
0.682 0.871 0.579
0.255 0.655 0.582
0.760 0.647 0.582
0.068 0.488 0.584
0.582 0.501 0.576
0.157 0.842 0.257
0.659 0.826 0.251
0.263 0.680 0.251
0.764 0.675 0.258
0.077 0.468 0.251
0.578 0.466 0.257
0.158 0.491 0.751
0.657 0.496 0.759
0.082 0.696 0.758
0.575 0.691 0.751
0.261 0.852 0.758
0.765 0.857 0.750
```

Summary:
The value obtained for the size of the total moment is 0.00 μB per cell. The total energy comes out at -1422.35 eV for the cell shown.


2.
Density functional theory data (GGA-PBE) for crystalline Ce5C6Br3 at its relaxed geometry.

Cell and atoms, written as POSCAR:
```
Ce5C6Br3
1.0
0.000 -3.781 0.000
-11.134 -1.891 0.000
-2.058 -1.891 -13.605
Ce C Br
10 12 6
Direct
0.830 0.961 0.379
0.170 0.039 0.621
0.167 0.268 0.399
0.833 0.732 0.601
0.502 0.893 0.103
0.498 0.107 0.897
0.839 0.176 0.146
0.161 0.824 0.854
0.500 0.606 0.395
0.500 0.394 0.605
0.372 0.790 0.467
0.628 0.210 0.533
0.373 0.027 0.226
0.627 0.973 0.774
0.963 0.042 0.032
0.037 0.958 0.968
0.700 0.115 0.484
0.300 0.885 0.516
0.301 0.112 0.286
0.699 0.888 0.714
0.037 0.451 0.476
0.963 0.549 0.524
0.669 0.412 0.250
0.331 0.588 0.750
0.331 0.329 0.009
0.669 0.671 0.991
0.015 0.731 0.239
0.985 0.269 0.761
```

Summary:
The value obtained for the size of the total moment is 5.19 μB per cell. The total energy comes out at -201.93 eV for the cell shown.


3.
Density functional theory data (GGA-PBE) for crystalline PdSeO4 at its relaxed geometry.

Cell and atoms, written as POSCAR:
```
PdSeO4
1.0
3.537 -3.600 -0.259
3.912 1.500 -2.827
4.262 2.898 6.378
Pd Se O
2 2 8
Direct
0.000 0.500 0.500
0.500 0.000 0.000
0.935 0.065 0.250
0.065 0.935 0.750
0.076 0.266 0.716
0.791 0.264 0.415
0.209 0.736 0.585
0.266 0.076 0.216
0.734 0.924 0.784
0.736 0.209 0.085
0.264 0.791 0.915
0.924 0.734 0.284
```

Summary:
The total energy comes out at -62.63 eV for the cell shown.


no.,formation enthalpy at 0 K (meV per atom)
1,-2270
2,-901
3,-933